The following is a PBE-GGA calculation of Na14Ti4Al4Si9S3O48 after structural relaxation, from Materials Project.

Cell: 8.8671 15.3615 21.6797 Å, 90.26 90.12 90.01°
Space group P1 (No. 1)
One atom of each set of equivalent atoms:
Na 0.0000 0.0000 0.0000 x1
Na 0.9999 0.0423 0.6738 x1
Na 0.0005 0.3421 0.3478 x1
Na 0.0351 0.3543 0.6654 x1
Na 0.0493 0.6925 0.0082 x1
Na 0.0514 0.0232 0.3447 x1
Na 0.1699 0.5298 0.5866 x1
Na 0.1706 0.8629 0.4234 x1
Na 0.1753 0.1859 0.2571 x1
Na 0.1769 0.1843 0.7525 x1
Na 0.1854 0.5344 0.0873 x1
Na 0.1864 0.8598 0.9215 x1
Na 0.3076 0.0173 0.8387 x1
Na 0.3171 0.6889 0.5108 x1
Na 0.3196 0.3569 0.1735 x1
Na 0.3586 0.0375 0.1766 x1
Na 0.3603 0.3415 0.8401 x1
Na 0.3646 0.0097 0.5044 x1
Na 0.3692 0.3726 0.5039 x1
Na 0.3743 0.7101 0.8338 x1
Na 0.4873 0.2080 0.3403 x1
Na 0.4923 0.8707 0.9997 x1
Na 0.4998 0.5168 0.9988 x1
Na 0.5009 0.8421 0.3459 x1
Na 0.5017 0.5411 0.6724 x1
Na 0.5453 0.8571 0.6729 x1
Na 0.5457 0.1874 0.0019 x1
Na 0.5522 0.5192 0.3464 x1
Na 0.6724 0.3599 0.4257 x1
Na 0.6799 0.0295 0.5900 x1
Na 0.6832 0.6871 0.2537 x1
Na 0.6914 0.6907 0.7548 x1
Na 0.6918 0.0282 0.0859 x1
Na 0.6949 0.3630 0.9194 x1
Na 0.8079 0.5240 0.8400 x1
Na 0.8115 0.1911 0.5122 x1
Na 0.8258 0.8542 0.1657 x1
Na 0.8593 0.5017 0.5054 x1
Na 0.8614 0.5477 0.1743 x1
Na 0.8616 0.8426 0.8356 x1
Na 0.8677 0.2042 0.8255 x1
Na 0.9907 0.7076 0.3303 x1
Ti 0.1749 0.1845 0.6043 x1
Ti 0.1753 0.5250 0.2339 x1
Ti 0.1807 0.5217 0.7330 x1
Ti 0.1828 0.5129 0.9463 x1
Ti 0.1871 0.8633 0.5704 x1
Ti 0.2030 0.1845 0.1092 x1
Ti 0.6604 0.3607 0.0660 x1
Ti 0.6646 0.6911 0.6138 x1
Ti 0.6765 0.0119 0.4476 x1
Ti 0.6796 0.0207 0.2331 x1
Ti 0.6845 0.6856 0.1044 x1
Ti 0.6948 0.0185 0.7301 x1
Al 0.1630 0.8689 0.2732 x1
Al 0.1647 0.8544 0.0630 x1
Al 0.1769 0.1857 0.9011 x1
Al 0.1843 0.8651 0.7725 x1
Al 0.1846 0.5088 0.4422 x1
Al 0.1975 0.1918 0.4043 x1
Al 0.6629 0.6914 0.9037 x1
Al 0.6668 0.3656 0.2759 x1
Al 0.6734 0.0067 0.9402 x1
Al 0.6872 0.6853 0.4025 x1
Al 0.6969 0.3544 0.5635 x1
Al 0.6973 0.3677 0.7731 x1
Si 0.0337 0.0016 0.1684 x1
Si 0.0353 0.3739 0.8381 x1
Si 0.0369 0.0448 0.4989 x1
Si 0.0387 0.3335 0.5016 x1
Si 0.0439 0.7170 0.1716 x1
Si 0.3111 0.7133 0.6728 x1
Si 0.3175 0.3288 0.0032 x1
Si 0.3262 0.3753 0.3378 x1
Si 0.3290 0.0071 0.6748 x1
Si 0.3328 0.0422 0.0004 x1
Si 0.3843 0.0211 0.3372 x1
Si 0.3873 0.6935 0.0033 x1
Si 0.4726 0.1928 0.5031 x1
Si 0.4766 0.5218 0.8376 x1
Si 0.5313 0.5065 0.1745 x1
Si 0.5307 0.5452 0.5023 x1
Si 0.5320 0.8746 0.8373 x1
Si 0.5364 0.8273 0.5018 x1
Si 0.5478 0.2128 0.1733 x1
Si 0.8177 0.2168 0.6716 x1
Si 0.8227 0.8328 0.0016 x1
Si 0.8250 0.5439 0.0008 x1
Si 0.8264 0.5000 0.6689 x1
Si 0.8263 0.8745 0.3383 x1
Si 0.8895 0.5214 0.3413 x1
Si 0.9027 0.8506 0.6753 x1
Si 0.9709 0.0231 0.8429 x1
S 0.0379 0.6670 0.8392 x1
S 0.3253 0.6675 0.3389 x1
S 0.3994 0.3547 0.6734 x1
S 0.4621 0.8542 0.1730 x1
S 0.5345 0.1670 0.8399 x1
S 0.8233 0.1704 0.3359 x1
S 0.8962 0.1926 0.0032 x1
S 0.9608 0.3543 0.1732 x1
S 0.9687 0.6907 0.5009 x1
O 0.0052 0.5079 0.3990 x1
O 0.0058 0.2061 0.6686 x1
O 0.0062 0.8448 0.0054 x1
O 0.0081 0.5397 0.9975 x1
O 0.0102 0.8674 0.3331 x1
O 0.0119 0.5057 0.6772 x1
O 0.0143 0.8698 0.6164 x1
O 0.0567 0.4363 0.1736 x1
O 0.0603 0.1038 0.5626 x1
O 0.0644 0.2789 0.1700 x1
O 0.0652 0.9405 0.1087 x1
O 0.0655 0.7684 0.5039 x1
O 0.0682 0.4413 0.8958 x1
O 0.0679 0.6114 0.4978 x1
O 0.0719 0.6115 0.7841 x1
O 0.0742 0.2717 0.4422 x1
O 0.0754 0.9351 0.8382 x1
O 0.0795 0.1105 0.8453 x1
O 0.0808 0.7769 0.2325 x1
O 0.0989 0.6260 0.8953 x1
O 0.1046 0.7598 0.1087 x1
O 0.1071 0.7543 0.8358 x1
O 0.1081 0.1000 0.1608 x1
O 0.1079 0.6150 0.1779 x1
O 0.1133 0.2894 0.5642 x1
O 0.1144 0.2784 0.8451 x1
O 0.1143 0.9657 0.2312 x1
O 0.1146 0.4217 0.7781 x1
O 0.1164 0.0929 0.4408 x1
O 0.1165 0.4312 0.5002 x1
O 0.1171 0.9498 0.5069 x1
O 0.2428 0.2801 0.3400 x1
O 0.2462 0.1013 0.6668 x1
O 0.2466 0.0887 0.9433 x1
O 0.2477 0.6123 0.6760 x1
O 0.2480 0.9635 0.7340 x1
O 0.2489 0.4262 0.2776 x1
O 0.2534 0.7570 0.6082 x1
O 0.2543 0.4289 0.0021 x1
O 0.2548 0.2873 0.0675 x1
O 0.2592 0.6279 0.3946 x1
O 0.2594 0.9468 0.0122 x1
O 0.2624 0.7564 0.3330 x1
O 0.2792 0.1084 0.3411 x1
O 0.2809 0.6060 0.9988 x1
O 0.2830 0.7749 0.7318 x1
O 0.2841 0.7793 0.0134 x1
O 0.2836 0.9315 0.3306 x1
O 0.2874 0.2670 0.9446 x1
O 0.2911 0.6125 0.2836 x1
O 0.2969 0.2792 0.6719 x1
O 0.3010 0.4364 0.6742 x1
O 0.3018 0.9453 0.6118 x1
O 0.3029 0.4379 0.3975 x1
O 0.3081 0.1068 0.0632 x1
O 0.3446 0.5406 0.4956 x1
O 0.3470 0.5089 0.1761 x1
O 0.3483 0.8637 0.8308 x1
O 0.3521 0.8397 0.5041 x1
O 0.3525 0.1713 0.5589 x1
O 0.3576 0.2039 0.1703 x1
O 0.3637 0.5365 0.7776 x1
O 0.3655 0.1742 0.8422 x1
O 0.3668 0.5058 0.8980 x1
O 0.3705 0.8649 0.1171 x1
O 0.3718 0.8504 0.2301 x1
O 0.3772 0.2109 0.4403 x1
O 0.4848 0.7103 0.9414 x1
O 0.4905 0.3508 0.7304 x1
O 0.4911 0.3652 0.6172 x1
O 0.4932 0.6729 0.3399 x1
O 0.4950 0.0053 0.3969 x1
O 0.4964 0.0362 0.2767 x1
O 0.4998 0.7017 0.6703 x1
O 0.5058 0.3397 0.0065 x1
O 0.5072 0.6713 0.0598 x1
O 0.5104 0.3641 0.3326 x1
O 0.5120 0.0116 0.6781 x1
O 0.5179 0.0394 0.9960 x1
O 0.5514 0.9364 0.8983 x1
O 0.5578 0.6089 0.5631 x1
O 0.5616 0.9357 0.1740 x1
O 0.5639 0.4432 0.1122 x1
O 0.5652 0.7786 0.1717 x1
O 0.5675 0.1126 0.7853 x1
O 0.5747 0.7675 0.4423 x1
O 0.5766 0.2787 0.5132 x1
O 0.5776 0.4322 0.8315 x1
O 0.5794 0.1052 0.4982 x1
O 0.5815 0.2757 0.2313 x1
O 0.5820 0.6089 0.8418 x1
O 0.5975 0.2566 0.8354 x1
O 0.5990 0.1282 0.8969 x1
O 0.6014 0.7856 0.5656 x1
O 0.6024 0.4478 0.5124 x1
O 0.6065 0.2586 0.1091 x1
O 0.6071 0.9274 0.5010 x1
O 0.6078 0.1120 0.1751 x1
O 0.6106 0.4613 0.2337 x1
O 0.6120 0.6008 0.1678 x1
O 0.6135 0.9252 0.7788 x1
O 0.6153 0.5877 0.4424 x1
O 0.6167 0.7793 0.8411 x1
O 0.7397 0.5889 0.9428 x1
O 0.7439 0.9300 0.9995 x1
O 0.7467 0.4473 0.0105 x1
O 0.7470 0.9224 0.2775 x1
O 0.7483 0.7891 0.0649 x1
O 0.7485 0.4636 0.7318 x1
O 0.7486 0.7784 0.3442 x1
O 0.7505 0.5963 0.6606 x1
O 0.7543 0.1163 0.6779 x1
O 0.7571 0.1341 0.3927 x1
O 0.7569 0.2605 0.6087 x1
O 0.7595 0.2593 0.3288 x1
O 0.7812 0.6083 0.3440 x1
O 0.7831 0.2771 0.7326 x1
O 0.7840 0.7702 0.6673 x1
O 0.7870 0.4322 0.3339 x1
O 0.7876 0.1129 0.2820 x1
O 0.7882 0.7688 0.9435 x1
O 0.7940 0.9428 0.3949 x1
O 0.7961 0.1144 0.0015 x1
O 0.7968 0.9410 0.6760 x1
O 0.7979 0.2712 0.0068 x1
O 0.7992 0.4383 0.6090 x1
O 0.8002 0.6033 0.0643 x1
O 0.8486 0.0068 0.1762 x1
O 0.8514 0.3670 0.8337 x1
O 0.8529 0.0406 0.4954 x1
O 0.8541 0.0122 0.9009 x1
O 0.8549 0.3446 0.5046 x1
O 0.8562 0.7054 0.1699 x1
O 0.8639 0.3632 0.1184 x1
O 0.8666 0.0407 0.7806 x1
O 0.8702 0.6785 0.5552 x1
O 0.8707 0.6743 0.8397 x1
O 0.8734 0.3485 0.2310 x1
O 0.8793 0.6980 0.4428 x1
O 0.9840 0.2007 0.9454 x1
O 0.9897 0.1762 0.3370 x1
O 0.9960 0.1820 0.0574 x1
O 0.9960 0.5391 0.2790 x1
O 0.9991 0.8432 0.7379 x1

ρ	2.93	g cm⁻³
raw total energy	-6.86	eV per atom
formation energy	-2.8289	eV/atom
V	2953.0	Å³ per cell
M_tot	0.000	μB/atom
corrected total energy (MP2020 scheme)	-0.267	hartree per atom